Here is a relaxed structure of Li7V3Si2O12 from the Materials Project database. Energies are from PBE with a Hubbard U.

Cell: 4.9603 10.6769 8.5994 Å, 66.25 90.00 94.82°
With the nearest neighbours (Å) after each atom.
Fractional positions:
Li 0.0032 0.9933 0.9999  6 O 2.02-2.23
Li 0.0033 0.9933 0.6735  6 O 2.02-2.23
Li 0.5033 0.9932 0.1736  6 O 2.02-2.23
Li 0.7467 0.5068 0.7432  6 O 2.02-2.23
Li 0.4940 0.9926 0.8370  6 O 2.02-2.22
Li 0.7562 0.5074 0.0797  6 O 2.02-2.22
Li 0.2468 0.5067 0.9168  6 O 2.02-2.23
Li 0.5033 0.9933 0.5000  6 O 2.02-2.23
Li 0.6250 0.7500 0.4584  6 O 2.11
Li 0.2562 0.5074 0.5797  6 O 2.02-2.22
Li 0.1250 0.7500 0.9584  6 O 2.11
Li 0.2467 0.5068 0.2432  6 O 2.02-2.23
Li 0.7468 0.5068 0.4168  6 O 2.02-2.23
Li 0.9939 0.9926 0.3371  6 O 2.02-2.22
O 0.7690 0.8527 0.9068  2 Si 1.85-1.86, 1 Li 2.02
O 0.0567 0.3702 0.8146  3 V 2.01-2.05, 3 Li 2.13-2.14
O 0.5564 0.3734 0.6469  3 V 2.03-2.07, 3 Li 2.07-2.08
O 0.4195 0.6475 0.3223  2 Si 1.85, 1 Li 2.02
O 0.9812 0.6472 0.5094  2 Si 1.85-1.86, 1 Li 2.02
O 0.5569 0.3701 0.3147  3 V 2.01-2.05, 3 Li 2.13-2.14
O 0.3307 0.8524 0.7200  2 Si 1.85, 1 Li 2.02
O 0.2690 0.8527 0.4068  2 Si 1.85-1.86, 1 Li 2.02
O 0.8304 0.8523 0.5942  2 Si 1.85, 1 Li 2.02
O 0.0569 0.3701 0.4818  3 V 2.01-2.05, 3 Li 2.13-2.14
O 0.9195 0.6475 0.1965  2 Si 1.85, 1 Li 2.02
O 0.1927 0.1302 0.1018  3 V 2.01-2.05, 3 Li 2.13-2.14
O 0.6935 0.1300 0.9349  3 V 2.01-2.05, 3 Li 2.13-2.14
O 0.6932 0.1265 0.2703  3 V 2.03-2.07, 3 Li 2.07-2.08
O 0.4812 0.6472 0.0094  2 Si 1.85-1.86, 1 Li 2.02
O 0.0565 0.3733 0.1469  3 V 2.03-2.07, 3 Li 2.07-2.08
O 0.3303 0.8523 0.0942  2 Si 1.85, 1 Li 2.02
O 0.9194 0.6475 0.8223  2 Si 1.85, 1 Li 2.02
O 0.4195 0.6475 0.6965  2 Si 1.85, 1 Li 2.02
O 0.6928 0.1302 0.6018  3 V 2.01-2.05, 3 Li 2.13-2.14
O 0.8308 0.8524 0.2200  2 Si 1.85, 1 Li 2.02
O 0.1935 0.1301 0.4350  3 V 2.01-2.05, 3 Li 2.13-2.14
O 0.1932 0.1265 0.7702  3 V 2.03-2.07, 3 Li 2.07-2.08
O 0.5568 0.3699 0.9816  3 V 2.01-2.05, 3 Li 2.13-2.14
V 0.3748 0.2499 0.8745  6 O 2.01-2.05
V 0.8750 0.2501 0.7084  6 O 2.01-2.07
V 0.8750 0.2501 0.0421  6 O 2.02-2.05
V 0.3750 0.2502 0.5422  6 O 2.02-2.05
V 0.8750 0.2500 0.3746  6 O 2.02-2.05
V 0.3751 0.2501 0.2084  6 O 2.01-2.07
Si 0.6250 0.7500 0.1251  6 O 1.85-1.86
Si 0.1249 0.7500 0.2916  6 O 1.85
Si 0.1250 0.7500 0.6251  6 O 1.85-1.86
Si 0.6249 0.7500 0.7916  6 O 1.85

Computed properties:
MP2020-corrected energy (eV/atom): -7.23


Here is a relaxed structure of LiVSi2O6 from the Materials Project database. Energies are from PBE with a Hubbard U.

Cell: 6.6247 6.6247 5.3661 Å, 105.58 105.58 83.73°
With the nearest neighbours (Å) after each atom.
Fractional positions:
Li 0.2436 0.7564 0.7500  4 O 2.09-2.14
Li 0.7564 0.2436 0.2500  4 O 2.09-2.14
V 0.4021 0.5979 0.2500  6 O 1.98-2.17
V 0.5979 0.4021 0.7500  6 O 1.98-2.17
Si 0.1129 0.2916 0.7308  4 O 1.61-1.67
Si 0.2916 0.1129 0.2308  4 O 1.61-1.67
Si 0.7084 0.8871 0.7692  4 O 1.61-1.67
Si 0.8871 0.7084 0.2692  4 O 1.61-1.67
O 0.1257 0.6151 0.3331  1 Si 1.61
O 0.1412 0.1497 0.4339  2 Si 1.62-1.67
O 0.1497 0.1412 0.9339  2 Si 1.62-1.67
O 0.2973 0.4680 0.8509  1 Si 1.66
O 0.3849 0.8743 0.1669  1 Si 1.61
O 0.4680 0.2973 0.3509  1 Si 1.66
O 0.5320 0.7027 0.6491  1 Si 1.66
O 0.6151 0.1257 0.8331  1 Si 1.61
O 0.7027 0.5320 0.1491  1 Si 1.66
O 0.8503 0.8588 0.0661  2 Si 1.62-1.67
O 0.8588 0.8503 0.5661  2 Si 1.62-1.67
O 0.8743 0.3849 0.6669  1 Si 1.61

Computed properties:
Energy above the most stable polymorph in this dataset (meV/atom): 7.7
MP2020-corrected energy (eV/atom): -8.12


Here is a relaxed structure of Li2VSiO5 from the Materials Project database. Energies are from PBE with a Hubbard U.

Cell: 9.1082 4.5085 9.2564 Å, 90.00 90.00 90.00°
With the nearest neighbours (Å) after each atom.
Fractional positions:
Li 0.0000 0.0078 0.0000  5 O 2.13-2.38
Li 0.0000 0.9922 0.5000  5 O 2.13-2.38
Li 0.2498 0.0030 0.2524  4 O 2.07-2.13
Li 0.2498 0.9970 0.7524  4 O 2.07-2.13
Li 0.5000 0.3831 0.7497  5 O 1.96-2.12
Li 0.5000 0.6169 0.2497  5 O 1.96-2.12
Li 0.7502 0.0030 0.2524  4 O 2.07-2.13
Li 0.7502 0.9970 0.7524  4 O 2.07-2.13
V 0.0000 0.4326 0.2571  1 O 1.69
V 0.0000 0.5674 0.7571  1 O 1.69
V 0.5000 0.0418 0.4644  1 O 1.68
V 0.5000 0.9582 0.9644  1 O 1.68
Si 0.2505 0.4992 0.5056  4 O 1.64-1.65
Si 0.2505 0.5008 0.0056  4 O 1.64-1.65
Si 0.7495 0.4992 0.5056  4 O 1.64-1.65
Si 0.7495 0.5008 0.0056  4 O 1.64-1.65
O 0.0000 0.1935 0.7596  1 V 1.69
O 0.0000 0.8065 0.2596  1 V 1.69
O 0.1466 0.2968 0.3989  1 Si 1.64
O 0.1466 0.7032 0.8989  1 Si 1.64
O 0.1478 0.3016 0.1145  1 Si 1.64
O 0.1478 0.6984 0.6145  1 Si 1.64
O 0.3508 0.2620 0.9150  1 Si 1.64
O 0.3508 0.7380 0.4150  1 Si 1.64
O 0.3556 0.2578 0.5916  1 Si 1.65
O 0.3556 0.7422 0.0916  1 Si 1.65
O 0.5000 0.1951 0.2988  1 V 1.68
O 0.5000 0.8049 0.7988  1 V 1.68
O 0.6444 0.2578 0.5916  1 Si 1.65
O 0.6444 0.7422 0.0916  1 Si 1.65
O 0.6492 0.2620 0.9150  1 Si 1.64
O 0.6492 0.7380 0.4150  1 Si 1.64
O 0.8522 0.3016 0.1145  1 Si 1.64
O 0.8522 0.6984 0.6145  1 Si 1.64
O 0.8534 0.2968 0.3989  1 Si 1.64
O 0.8534 0.7032 0.8989  1 Si 1.64

Computed properties:
Energy above the most stable polymorph in this dataset (meV/atom): 29.7
MP2020-corrected energy (eV/atom): -7.52


Here is a relaxed structure of Li2VSiO4 from the Materials Project database. Energies are from PBE with a Hubbard U.

Cell: 4.8289 5.8010 7.9347 Å, 90.00 127.13 90.00°
With the nearest neighbours (Å) after each atom.
Fractional positions:
Li 0.0000 0.1453 0.0000  4 O 1.91-2.11
Li 0.0000 0.8547 0.5000  4 O 1.91-2.11
Li 0.2576 0.3057 0.7579  3 O 1.92-2.01
Li 0.2576 0.6943 0.2579  3 O 1.92-2.01
V 0.7637 0.3487 0.2415  4 O 2.07-2.20
V 0.7637 0.6513 0.7415  4 O 2.07-2.20
Si 0.4862 0.1652 0.5031  4 O 1.65-1.68
Si 0.4862 0.8348 0.0031  4 O 1.65-1.68
O 0.1468 0.1618 0.5053  1 Si 1.65
O 0.1468 0.8382 0.0053  1 Si 1.65
O 0.3584 0.3194 0.2878  1 Si 1.68
O 0.3584 0.6806 0.7878  1 Si 1.68
O 0.5944 0.1030 0.9998  1 Si 1.65
O 0.5944 0.8970 0.4998  1 Si 1.65
O 0.8074 0.2994 0.7199  1 Si 1.66
O 0.8074 0.7006 0.2199  1 Si 1.66

Computed properties:
MP2020-corrected energy (eV/atom): -7.36